No. 1
C | PBE-GGA | relaxed

abc: 2.5233 2.5233 16.5599
angles: 90.00 90.00 120.00
Fractional positions:
C 0.0000 0.0000 0.0468
C 0.0000 0.0000 0.4532
C 0.0000 0.0000 0.5468
C 0.0000 0.0000 0.9532
C 0.3333 0.6667 0.0779
C 0.3333 0.6667 0.1713
C 0.3333 0.6667 0.3287
C 0.3333 0.6667 0.4221
C 0.3333 0.6667 0.7027
C 0.3333 0.6667 0.7973
C 0.6667 0.3333 0.2027
C 0.6667 0.3333 0.2973
C 0.6667 0.3333 0.5779
C 0.6667 0.3333 0.6713
C 0.6667 0.3333 0.8287
C 0.6667 0.3333 0.9221

Computed properties:
Final energy, hartree per atom: -0.33389
SG: P6_3/mmc (194)
Energy above the lowest structure with this stoichiometry, meV per atom: 143


No. 2
C | PBE-GGA | relaxed

abc: 2.4684 2.4684 9.9991
angles: 90.00 90.00 120.00
Fractional positions:
C 0.3333 0.6667 0.0000
C 0.6667 0.3333 0.0000

Computed properties:
Final energy, hartree per atom: -0.33881
SG: P6/mmm (191)
Energy above the lowest structure with this stoichiometry, meV per atom: 9


No. 3
C | PBE-GGA | relaxed

abc: 2.4647 2.4647 3.7381
angles: 93.45 93.45 60.25
Fractional positions:
C 0.1662 0.1662 0.9999
C 0.8338 0.8338 0.0001

Computed properties:
Final energy, hartree per atom: -0.33863
SG: C2/m (12)
Energy above the lowest structure with this stoichiometry, meV per atom: 14


No. 4
C | PBE-GGA | relaxed

abc: 10.0670 10.0670 18.0000
angles: 90.00 90.00 119.72
Fractional positions:
C 0.0013 0.7667 0.0279
C 0.0013 0.7667 0.4721
C 0.0139 0.9861 0.5611
C 0.0139 0.9861 0.9389
C 0.0157 0.1265 0.1826
C 0.0157 0.1265 0.3174
C 0.0190 0.4732 0.1829
C 0.0190 0.4732 0.3171
C 0.0241 0.4834 0.6142
C 0.0241 0.4834 0.8858
C 0.0625 0.5442 0.7500
C 0.0637 0.9363 0.0132
C 0.0637 0.9363 0.4868
C 0.0924 0.1394 0.1138
C 0.0924 0.1394 0.3862
C 0.0965 0.1909 0.2500
C 0.1115 0.6079 0.0714
C 0.1115 0.6079 0.4286
C 0.1243 0.7328 0.0305
C 0.1243 0.7328 0.4695
C 0.1265 0.0157 0.6826
C 0.1265 0.0157 0.8174
C 0.1286 0.3209 0.5703
C 0.1286 0.3209 0.9297
C 0.1394 0.0924 0.6138
C 0.1394 0.0924 0.8862
C 0.1412 0.4471 0.6142
C 0.1412 0.4471 0.8858
C 0.1825 0.5383 0.1828
C 0.1825 0.5383 0.3172
C 0.1855 0.5065 0.7500
C 0.1909 0.0965 0.7500
C 0.1997 0.2495 0.6139
C 0.1997 0.2495 0.8861
C 0.2191 0.4550 0.6827
C 0.2191 0.4550 0.8173
C 0.2333 0.9987 0.0279
C 0.2333 0.9987 0.4721
C 0.2398 0.6225 0.1142
C 0.2398 0.6225 0.3858
C 0.2495 0.1997 0.1139
C 0.2495 0.1997 0.3861
C 0.2553 0.3339 0.6826
C 0.2553 0.3339 0.8174
C 0.2578 0.2614 0.7500
C 0.2614 0.2578 0.2500
C 0.2672 0.8757 0.0305
C 0.2672 0.8757 0.4695
C 0.2678 0.5870 0.2500
C 0.3209 0.1286 0.0703
C 0.3209 0.1286 0.4297
C 0.3339 0.2553 0.1826
C 0.3339 0.2553 0.3174
C 0.3775 0.7602 0.1142
C 0.3775 0.7602 0.3858
C 0.3921 0.8885 0.0714
C 0.3921 0.8885 0.4286
C 0.4130 0.7322 0.2500
C 0.4471 0.1412 0.1142
C 0.4471 0.1412 0.3858
C 0.4550 0.2191 0.1827
C 0.4550 0.2191 0.3173
C 0.4558 0.9375 0.7500
C 0.4617 0.8175 0.1828
C 0.4617 0.8175 0.3172
C 0.4732 0.0190 0.6829
C 0.4732 0.0190 0.8171
C 0.4834 0.0241 0.1142
C 0.4834 0.0241 0.3858
C 0.4935 0.8145 0.7500
C 0.5065 0.1855 0.2500
C 0.5166 0.9759 0.6142
C 0.5166 0.9759 0.8858
C 0.5268 0.9810 0.1829
C 0.5268 0.9810 0.3171
C 0.5383 0.1825 0.6828
C 0.5383 0.1825 0.8172
C 0.5442 0.0625 0.2500
C 0.5450 0.7809 0.6827
C 0.5450 0.7809 0.8173
C 0.5529 0.8588 0.6142
C 0.5529 0.8588 0.8858
C 0.5870 0.2678 0.7500
C 0.6079 0.1115 0.5714
C 0.6079 0.1115 0.9286
C 0.6225 0.2398 0.6142
C 0.6225 0.2398 0.8858
C 0.6661 0.7447 0.6826
C 0.6661 0.7447 0.8174
C 0.6791 0.8714 0.5703
C 0.6791 0.8714 0.9297
C 0.7322 0.4130 0.7500
C 0.7328 0.1243 0.5305
C 0.7328 0.1243 0.9695
C 0.7386 0.7422 0.7500
C 0.7422 0.7386 0.2500
C 0.7447 0.6661 0.1826
C 0.7447 0.6661 0.3174
C 0.7505 0.8003 0.6139
C 0.7505 0.8003 0.8861
C 0.7602 0.3775 0.6142
C 0.7602 0.3775 0.8858
C 0.7667 0.0013 0.5279
C 0.7667 0.0013 0.9721
C 0.7809 0.5450 0.1827
C 0.7809 0.5450 0.3173
C 0.8003 0.7505 0.1139
C 0.8003 0.7505 0.3861
C 0.8091 0.9035 0.2500
C 0.8145 0.4935 0.2500
C 0.8175 0.4617 0.6828
C 0.8175 0.4617 0.8172
C 0.8588 0.5529 0.1142
C 0.8588 0.5529 0.3858
C 0.8606 0.9076 0.1138
C 0.8606 0.9076 0.3862
C 0.8714 0.6791 0.0703
C 0.8714 0.6791 0.4297
C 0.8735 0.9843 0.1826
C 0.8735 0.9843 0.3174
C 0.8757 0.2672 0.5305
C 0.8757 0.2672 0.9695
C 0.8885 0.3921 0.5714
C 0.8885 0.3921 0.9286
C 0.9035 0.8091 0.7500
C 0.9076 0.8606 0.6138
C 0.9076 0.8606 0.8862
C 0.9363 0.0637 0.5132
C 0.9363 0.0637 0.9868
C 0.9375 0.4558 0.2500
C 0.9759 0.5166 0.1142
C 0.9759 0.5166 0.3858
C 0.9810 0.5268 0.6829
C 0.9810 0.5268 0.8171
C 0.9843 0.8735 0.6826
C 0.9843 0.8735 0.8174
C 0.9861 0.0139 0.0611
C 0.9861 0.0139 0.4389
C 0.9987 0.2333 0.5279
C 0.9987 0.2333 0.9721

Computed properties:
Final energy, hartree per atom: -0.32627
SG: Cmcm (63)
Energy above the lowest structure with this stoichiometry, meV per atom: 350